(1)
MgCd2Fe4O8 | PBE+U | relaxed

abc: 6.093 6.305 6.443
angles: 94.15 115.32 117.74
Positions (direct):
1 Mg 0.000 0.000 0.000
2 Cd 0.464 0.351 0.475
3 Cd 0.869 0.110 0.563
4 Fe 0.164 0.659 0.042
5 Fe 0.169 0.745 0.556
6 Fe 0.585 0.609 0.036
7 Fe 0.666 0.189 0.026
8 O 0.098 0.343 0.173
9 O 0.164 0.903 0.296
10 O 0.181 0.971 0.804
11 O 0.185 0.510 0.748
12 O 0.607 0.916 0.181
13 O 0.614 0.940 0.747
14 O 0.708 0.457 0.861
15 O 0.735 0.456 0.301

Output
Final energy, eV/atom: -5.740
ΔE to the lowest computed polymorph, eV/atom: 0.000
MP2020-corrected energy, eV for the cell shown: -100.6


(2)
LiMn2O4 | PBE+U | relaxed

abc: 5.866 5.866 9.764
angles: 90.00 90.00 120.00
Positions (direct):
1 Li 0.000 0.000 0.000
2 Li 0.000 0.000 0.500
3 Li 0.333 0.667 0.389
4 Li 0.667 0.333 0.889
5 Mn 0.169 0.338 0.718
6 Mn 0.169 0.831 0.718
7 Mn 0.333 0.667 0.996
8 Mn 0.338 0.169 0.218
9 Mn 0.662 0.831 0.718
10 Mn 0.667 0.333 0.496
11 Mn 0.831 0.169 0.218
12 Mn 0.831 0.662 0.218
13 O 0.000 0.000 0.314
14 O 0.000 0.000 0.814
15 O 0.034 0.517 0.832
16 O 0.158 0.316 0.109
17 O 0.158 0.842 0.109
18 O 0.316 0.158 0.609
19 O 0.333 0.667 0.612
20 O 0.483 0.517 0.832
21 O 0.483 0.966 0.832
22 O 0.517 0.034 0.332
23 O 0.517 0.483 0.332
24 O 0.667 0.333 0.112
25 O 0.684 0.842 0.109
26 O 0.842 0.158 0.609
27 O 0.842 0.684 0.609
28 O 0.966 0.483 0.332

Output
Final energy, eV/atom: -6.889
ΔE to the lowest computed polymorph, eV/atom: 0.027
MP2020-corrected energy, eV for the cell shown: -217.2


(3)
K3VO4 | PBE+U | relaxed

abc: 5.677 5.677 10.450
angles: 90.00 90.00 90.00
Positions (direct):
1 K 0.000 0.000 0.000
2 K 0.000 0.500 0.250
3 K 0.000 0.500 0.750
4 K 0.500 0.000 0.250
5 K 0.500 0.000 0.750
6 K 0.500 0.500 0.500
7 V 0.000 0.000 0.500
8 V 0.500 0.500 0.000
9 O 0.179 0.179 0.404
10 O 0.179 0.821 0.596
11 O 0.321 0.321 0.904
12 O 0.321 0.679 0.096
13 O 0.679 0.321 0.096
14 O 0.679 0.679 0.904
15 O 0.821 0.179 0.596
16 O 0.821 0.821 0.404

Output
Final energy, eV/atom: -5.734
Piezoelectric modulus e_max, C/m²: 0.48
MP2020-corrected energy, eV for the cell shown: -100.6


(4)
Zn3Si4W2O14 | PBE+U | relaxed

abc: 9.259 9.259 10.750
angles: 118.59 118.59 51.51
Positions (direct):
1 Zn 0.093 0.907 0.750
2 Zn 0.163 0.548 0.625
3 Zn 0.452 0.837 0.875
4 Zn 0.548 0.163 0.125
5 Zn 0.837 0.452 0.375
6 Zn 0.907 0.093 0.250
7 Si 0.016 0.632 0.311
8 Si 0.036 0.688 0.912
9 Si 0.312 0.964 0.588
10 Si 0.368 0.984 0.189
11 Si 0.632 0.016 0.811
12 Si 0.688 0.036 0.412
13 Si 0.964 0.312 0.088
14 Si 0.984 0.368 0.689
15 W 0.314 0.686 0.250
16 W 0.500 0.500 0.000
17 W 0.500 0.500 0.500
18 W 0.686 0.314 0.750
19 O 0.002 0.567 0.419
20 O 0.007 0.506 0.856
21 O 0.061 0.779 0.089
22 O 0.140 0.149 0.179
23 O 0.149 0.140 0.679
24 O 0.221 0.939 0.411
25 O 0.225 0.606 0.350
26 O 0.227 0.595 0.861
27 O 0.394 0.775 0.150
28 O 0.405 0.773 0.639
29 O 0.425 0.426 0.604
30 O 0.426 0.425 0.104
31 O 0.433 0.998 0.081
32 O 0.494 0.993 0.644
33 O 0.506 0.007 0.356
34 O 0.567 0.002 0.919
35 O 0.574 0.575 0.896
36 O 0.575 0.574 0.396
37 O 0.595 0.227 0.361
38 O 0.606 0.225 0.850
39 O 0.773 0.405 0.139
40 O 0.775 0.394 0.650
41 O 0.779 0.061 0.589
42 O 0.851 0.860 0.321
43 O 0.860 0.851 0.821
44 O 0.939 0.221 0.911
45 O 0.993 0.494 0.144
46 O 0.998 0.433 0.581

Output
Final energy, eV/atom: -6.865
MP2020-corrected energy, eV for the cell shown: -352.8